Record 1
CaSiO3: relaxed, PBE.

## Properties
For the total energy, the calculation gives -224.0 eV per cell. The space group is P-1. Its calculated density is 3.0 g cm⁻³. The volume comes out at 13.0 A^3/atom.

Lattice parameters (Å, degrees): 6.7405 6.7860 9.4121 69.27 83.66 75.81
Last column: nearest neighbours and their distance in Å.
Sites, in units of the cell vectors:
1 Ca 0.0778 0.4160 0.3371  6 O 2.35-2.48
2 Ca 0.2365 0.2568 0.9996  6 O 2.36-2.61
3 Ca 0.4115 0.7617 0.3492  5 O 2.30-2.51
4 Ca 0.5885 0.2383 0.6508  5 O 2.30-2.51
5 Ca 0.7635 0.7432 0.0004  6 O 2.36-2.61
6 Ca 0.9222 0.5840 0.6629  6 O 2.35-2.48
7 Si 0.0386 0.0240 0.7004  4 O 1.62-1.68
8 Si 0.2700 0.7721 0.9840  4 O 1.61-1.70
9 Si 0.3871 0.6651 0.7055  4 O 1.62-1.68
10 Si 0.6129 0.3349 0.2945  4 O 1.62-1.68
11 Si 0.7300 0.2279 0.0160  4 O 1.61-1.70
12 Si 0.9614 0.9760 0.2996  4 O 1.62-1.68
13 O 0.0470 0.7268 0.4017  1 Si 1.62
14 O 0.1289 0.5983 0.0612  1 Si 1.62
15 O 0.1342 0.0043 0.8635  2 Si 1.68-1.69
16 O 0.1441 0.1074 0.2627  1 Si 1.63
17 O 0.2379 0.9055 0.6139  2 Si 1.68
18 O 0.2640 0.4741 0.7423  1 Si 1.62
19 O 0.3879 0.8406 0.0927  1 Si 1.61
20 O 0.4187 0.3778 0.4062  1 Si 1.62
21 O 0.4502 0.6901 0.8638  2 Si 1.67-1.70
22 O 0.5498 0.3099 0.1362  2 Si 1.67-1.70
23 O 0.5813 0.6222 0.5938  1 Si 1.62
24 O 0.6121 0.1594 0.9073  1 Si 1.61
25 O 0.7360 0.5259 0.2577  1 Si 1.62
26 O 0.7621 0.0945 0.3861  2 Si 1.68
27 O 0.8559 0.8926 0.7373  1 Si 1.63
28 O 0.8658 0.9957 0.1365  2 Si 1.68-1.69
29 O 0.8711 0.4017 0.9388  1 Si 1.62
30 O 0.9530 0.2732 0.5983  1 Si 1.62

Record 2
TaSb3O8: relaxed, PBE.

## Properties
For the total energy, the calculation gives -171.2 eV per cell. The space group is Pc. Its calculated density is 6.8 g cm⁻³. The volume comes out at 13.8 A^3/atom.

Lattice parameters (Å, degrees): 4.9652 5.5804 12.9393 90.00 112.55 90.00
Last column: nearest neighbours and their distance in Å.
Sites, in units of the cell vectors:
1 Ta 0.0000 0.1172 0.0000  6 O 1.93-2.07
2 Ta 0.0000 0.8828 0.5000  6 O 1.93-2.07
3 Sb 0.2980 0.2657 0.7482  4 O 2.05-2.28
4 Sb 0.2980 0.7343 0.2482  4 O 2.05-2.28
5 Sb 0.4948 0.3829 0.4974  6 O 1.97-2.07
6 Sb 0.4948 0.6171 0.9974  6 O 1.97-2.07
7 Sb 0.7052 0.2292 0.2491  4 O 2.06-2.29
8 Sb 0.7052 0.7708 0.7491  4 O 2.06-2.29
9 O 0.1526 0.1686 0.4412  1 Sb 1.97, 1 Ta 2.03
10 O 0.1526 0.8314 0.9412  1 Sb 1.97, 1 Ta 2.03
11 O 0.2370 0.3297 0.9444  1 Ta 1.99, 1 Sb 2.00
12 O 0.2370 0.6703 0.4444  1 Ta 1.99, 1 Sb 2.00
13 O 0.3139 0.0714 0.1515  1 Ta 2.00, 1 Sb 2.06
14 O 0.3139 0.9286 0.6515  1 Ta 2.00, 1 Sb 2.06
15 O 0.4982 0.4287 0.6539  2 Sb 2.04-2.06
16 O 0.4982 0.5713 0.1539  2 Sb 2.04-2.06
17 O 0.5014 0.4054 0.3386  3 Sb 2.06-2.20
18 O 0.5014 0.5946 0.8386  3 Sb 2.06-2.20
19 O 0.6793 0.0934 0.8411  2 Sb 2.05-2.19, 1 Ta 2.07
20 O 0.6793 0.9066 0.3411  2 Sb 2.05-2.19, 1 Ta 2.07
21 O 0.7681 0.1124 0.5502  1 Sb 1.97, 1 Ta 1.99
22 O 0.7681 0.8876 0.0502  1 Sb 1.97, 1 Ta 1.99
23 O 0.8302 0.3882 0.0461  1 Ta 1.93, 1 Sb 2.00
24 O 0.8302 0.6118 0.5461  1 Ta 1.93, 1 Sb 2.00